Record 1
## CaAl4 (PBE)

Data for crystalline CaAl4 at its relaxed geometry.

```
5
Lattice="1.497 -5.007 3.699 -3.385 -1.576 5.201 -0.856 1.483 -6.170" Properties=species:S:1:pos:R:3 pbc="T T T"
Al -0.730 -2.544 3.440
Al -1.158 -4.039 5.461
Al -2.593 -1.692 1.741
Al -0.151 -3.408 0.990
Ca 0.000 0.000 0.000
```

Properties
Calculated volume: 106 Å³/cell
Crystal system: tetragonal
Energy of formation from the pure elements: -0.1948 eV/atom

---

Record 2
## TlGaTe2 (PBE)

Data for crystalline TlGaTe2 at its relaxed geometry.

```
8
Lattice="3.236 -3.222 5.355 -0.966 6.971 0.019 -6.527 -2.629 0.118" Properties=species:S:1:pos:R:3 pbc="T T T"
Ga -3.179 3.108 1.412
Tl 1.703 2.812 4.030
Te -2.349 -1.219 1.843
Tl 0.568 0.937 1.343
Te -5.553 1.918 1.008
Ga -1.078 -1.989 4.080
Te 1.296 -0.798 4.484
Te -1.908 2.338 3.649
```

Properties
Calculated volume: 260 Å³/cell
Crystal system: tetragonal
Energy of formation from the pure elements: -0.5804 eV/atom

---

Record 3
## CaB6 (PBE)

Data for crystalline CaB6 at its relaxed geometry.

```
7
Lattice="4.150 0.000 0.000 0.000 4.150 0.000 0.000 0.000 4.150" Properties=species:S:1:pos:R:3 pbc="T T T"
B 0.838 2.075 2.075
B 3.312 2.075 2.075
B 2.075 2.075 3.312
B 2.075 3.312 2.075
Ca 0.000 0.000 0.000
B 2.075 2.075 0.838
B 2.075 0.838 2.075
```

Properties
Calculated volume: 71 Å³/cell
Crystal system: cubic
Energy of formation from the pure elements: -0.4078 eV/atom

---

Record 4
## Zr6NiSn2H10 (PBE)

Data for crystalline Zr6NiSn2H10 at its relaxed geometry.

```
38
Lattice="4.082 -7.071 0.000 4.082 7.071 0.000 0.000 0.000 7.367" Properties=species:S:1:pos:R:3 pbc="T T T"
H 6.708 -0.860 5.526
Ni 0.000 0.000 1.842
H 2.852 0.738 5.526
H 4.067 5.379 1.842
Zr 1.891 2.603 5.526
Zr 5.392 -4.132 1.842
Zr 2.111 0.000 0.000
H 1.116 -1.932 3.684
H 5.933 0.000 0.000
Zr 3.027 5.243 0.000
H 4.067 -5.379 5.526
H 3.295 4.232 5.526
H 5.933 0.000 3.684
H 1.473 -0.832 5.526
H 1.116 -1.932 0.000
H 0.000 0.000 0.000
H 1.473 0.832 1.842
Zr 5.392 4.132 5.526
Zr 4.965 0.336 5.526
H 6.708 0.860 1.842
Zr 3.027 5.243 3.684
Zr 4.965 -0.336 1.842
Sn 4.082 -2.357 3.982
H 2.852 -0.738 1.842
Sn 4.082 2.357 3.386
Sn 4.082 2.357 0.298
Zr 2.111 0.000 3.684
Ni 0.000 0.000 5.526
H 3.295 -4.232 1.842
H 6.100 2.101 5.526
H 1.116 1.932 0.000
H 0.000 0.000 3.684
Zr 1.891 -2.603 1.842
Sn 4.082 -2.357 7.069
Zr 3.027 -5.243 3.684
Zr 3.027 -5.243 0.000
H 6.100 -2.101 1.842
H 1.116 1.932 3.684
```

Properties
Calculated volume: 425 Å³/cell
Crystal system: hexagonal
Energy of formation from the pure elements: -0.5511 eV/atom

---

Copy entry 3 word for word.
## CaB6 (PBE)

Data for crystalline CaB6 at its relaxed geometry.

```
7
Lattice="4.150 0.000 0.000 0.000 4.150 0.000 0.000 0.000 4.150" Properties=species:S:1:pos:R:3 pbc="T T T"
B 0.838 2.075 2.075
B 3.312 2.075 2.075
B 2.075 2.075 3.312
B 2.075 3.312 2.075
Ca 0.000 0.000 0.000
B 2.075 2.075 0.838
B 2.075 0.838 2.075
```

Properties
Calculated volume: 71 Å³/cell
Crystal system: cubic
Energy of formation from the pure elements: -0.4078 eV/atom